56
Lattice="2.855 1.648 18.660 -2.855 1.648 18.660 0.000 -3.297 18.660" Properties=species:S:1:pos:R:3 comment="MgAl2O4 r2SCAN relaxed" crystal_system=trigonal rho_g_cm3=3.59 delta_e_f_mev_per_atom=-3284 m_tot_mub_per_fu=0.0 pbc="T T T"
Mg 0.000 0.000 0.000
Mg 0.000 0.000 3.388
Mg 0.000 0.000 13.934
Mg 0.000 0.000 27.923
Mg 0.000 0.000 31.444
Mg 0.000 0.000 36.726
Mg 0.000 0.000 41.947
Mg 0.000 0.000 45.416
Al -1.450 -0.837 20.366
Al 0.000 -1.646 11.012
Al -1.425 0.823 11.012
Al 0.000 0.000 8.677
Al -1.446 -0.835 34.334
Al 0.000 -1.648 25.006
Al -1.427 0.824 25.006
Al 0.000 0.000 17.403
Al 0.000 0.000 22.677
Al 1.425 0.823 11.012
Al 1.450 -0.837 20.366
Al 0.000 1.674 20.366
Al 1.427 0.824 25.006
Al 1.446 -0.835 34.334
Al 0.000 1.670 34.334
Al 0.000 0.000 50.648
O 0.000 -1.838 14.562
O -1.592 0.919 14.562
O 0.000 0.000 5.362
O -1.270 -0.733 23.918
O -1.580 -0.912 30.781
O 0.000 0.000 11.997
O 0.000 -1.443 21.443
O -1.250 0.721 21.443
O 0.000 -1.829 28.578
O -1.584 0.914 28.578
O 0.000 0.000 19.208
O -1.318 -0.761 38.014
O -1.585 -0.915 44.776
O 0.000 0.000 25.991
O 0.000 -1.613 35.394
O -1.397 0.807 35.394
O 1.270 -0.733 23.918
O 0.000 1.467 23.918
O 0.000 0.000 33.423
O 1.592 0.919 14.562
O 1.250 0.721 21.443
O 0.000 0.000 40.032
O 1.580 -0.912 30.781
O 0.000 1.825 30.781
O 1.318 -0.761 38.014
O 0.000 1.521 38.014
O 0.000 0.000 47.365
O 1.584 0.914 28.578
O 1.397 0.807 35.395
O 0.000 0.000 53.989
O 1.585 -0.915 44.776
O 0.000 1.830 44.776

=====

12
Lattice="5.276 0.000 0.000 -2.638 4.569 0.000 0.000 0.000 8.739" Properties=species:S:1:pos:R:3 comment="ZrAl2 r2SCAN relaxed" crystal_system=hexagonal rho_g_cm3=4.58 delta_e_f_mev_per_atom=-615 m_tot_mub_per_fu=0.0 pbc="T T T"
Zr 0.000 3.046 0.569
Zr 0.000 3.046 3.801
Zr 2.638 1.523 4.938
Zr 2.638 1.523 8.170
Al 0.000 0.000 0.000
Al 0.000 0.000 4.369
Al 0.000 1.559 6.554
Al -1.287 3.789 6.554
Al 1.351 0.780 2.185
Al 1.287 3.789 6.554
Al 3.925 0.780 2.185
Al 2.638 3.009 2.185

=====

12
Lattice="6.150 -1.873 0.000 6.150 1.873 0.000 -1.885 0.000 6.339" Properties=species:S:1:pos:R:3 comment="NbV3O8 r2SCAN relaxed" crystal_system=monoclinic rho_g_cm3=4.25 delta_e_f_mev_per_atom=-2646 m_tot_mub_per_fu=4.0 pbc="T T T"
Nb 0.000 0.000 0.000
V 0.020 0.000 3.709
V 1.804 0.000 6.054
V 3.718 0.000 3.393
O 0.207 0.000 1.779
O -0.065 0.000 5.727
O 1.888 0.000 4.089
O 3.536 0.000 1.746
O 3.872 0.000 5.871
O 5.729 0.000 3.644
O 8.308 0.000 6.208
O 10.222 0.000 3.907

=====

12
Lattice="6.804 0.000 0.000 0.000 4.251 0.000 0.000 0.000 7.487" Properties=species:S:1:pos:R:3 comment="TmGeRh r2SCAN relaxed" crystal_system=orthorhombic rho_g_cm3=10.57 delta_e_f_mev_per_atom=-1081 m_tot_mub_per_fu=0.0 pbc="T T T"
Tm 0.027 1.063 1.471
Tm 3.375 3.188 5.214
Tm 3.429 1.063 2.273
Tm 6.777 3.188 6.016
Ge 1.451 3.188 2.935
Ge 1.951 1.063 6.679
Ge 4.854 3.188 0.808
Ge 5.353 1.063 4.552
Rh 1.057 1.063 4.234
Rh 2.345 3.188 0.491
Rh 4.460 1.063 6.996
Rh 5.747 3.188 3.253

=====

18
Lattice="8.714 0.000 0.000 -4.357 7.547 0.000 0.000 0.000 4.042" Properties=species:S:1:pos:R:3 comment="TbGa2Ni3 r2SCAN relaxed" crystal_system=hexagonal rho_g_cm3=8.89 delta_e_f_mev_per_atom=-576 m_tot_mub_per_fu=0.0 pbc="T T T"
Tb 0.000 0.000 0.000
Tb 0.000 5.031 2.021
Tb 4.357 2.516 2.021
Ga -2.080 3.603 0.000
Ga -3.174 5.498 2.021
Ga 1.183 2.049 2.021
Ga 4.160 0.000 0.000
Ga 2.277 3.944 0.000
Ga 6.348 0.000 2.021
Ni -1.265 2.190 2.021
Ni -1.984 6.022 0.000
Ni 0.134 2.818 0.000
Ni 2.529 0.000 2.021
Ni 2.373 1.524 0.000
Ni 1.850 6.254 0.000
Ni 3.093 5.357 2.021
Ni 6.208 1.293 0.000
Ni 4.491 4.729 0.000

=====

12
Lattice="6.122 0.000 0.000 0.000 3.726 0.000 0.000 0.000 7.102" Properties=species:S:1:pos:R:3 comment="EuH2 r2SCAN relaxed" crystal_system=orthorhombic rho_g_cm3=6.31 delta_e_f_mev_per_atom=-687 m_tot_mub_per_fu=7.0 pbc="T T T"
Eu 1.479 0.931 0.811
Eu 1.581 2.794 4.362
Eu 4.540 0.931 2.740
Eu 4.642 2.794 6.291
H 0.189 2.794 2.262
H 0.881 2.794 6.612
H 2.180 0.931 3.060
H 2.872 0.931 5.813
H 3.249 2.794 1.289
H 3.942 2.794 4.042
H 5.240 0.931 0.491
H 5.933 0.931 4.840

=====

6
Lattice="4.401 0.000 0.000 -2.200 3.811 0.000 0.000 0.000 7.875" Properties=species:S:1:pos:R:3 comment="Pr2Ga3Cu r2SCAN relaxed" crystal_system=trigonal rho_g_cm3=6.97 delta_e_f_mev_per_atom=-626 m_tot_mub_per_fu=0.0 pbc="T T T"
Pr 0.000 0.000 0.000
Pr 0.000 0.000 3.690
Ga 0.000 2.541 1.739
Ga 0.000 2.541 6.077
Ga 2.200 1.270 5.529
Cu 2.200 1.270 1.984

=====

12
Lattice="7.565 0.000 0.000 0.000 4.592 0.000 0.000 0.000 7.790" Properties=species:S:1:pos:R:3 comment="PrAlAu r2SCAN relaxed" crystal_system=orthorhombic rho_g_cm3=8.95 delta_e_f_mev_per_atom=-800 m_tot_mub_per_fu=0.0 pbc="T T T"
Pr 0.078 1.148 1.512
Pr 3.705 3.444 5.407
Pr 3.861 1.148 2.383
Pr 7.488 3.444 6.278
Al 1.306 1.148 4.523
Al 2.477 3.444 0.628
Al 5.089 1.148 7.162
Al 6.259 3.444 3.267
Au 1.510 3.444 3.179
Au 2.273 1.148 7.075
Au 5.292 3.444 0.716
Au 6.056 1.148 4.611

=====

16
Lattice="7.558 0.000 0.000 0.000 7.558 0.000 0.000 0.000 7.558" Properties=species:S:1:pos:R:3 comment="LaYbHg2 r2SCAN relaxed" crystal_system=cubic rho_g_cm3=10.97 delta_e_f_mev_per_atom=-547 m_tot_mub_per_fu=0.0 pbc="T T T"
La 0.000 0.000 0.000
La 0.000 3.779 3.779
La 3.779 0.000 3.779
La 3.779 3.779 0.000
Yb 0.000 0.000 3.779
Yb 0.000 3.779 0.000
Yb 3.779 0.000 0.000
Yb 3.779 3.779 3.779
Hg 1.889 1.889 1.889
Hg 1.889 1.889 5.668
Hg 1.889 5.668 1.889
Hg 1.889 5.668 5.668
Hg 5.668 1.889 1.889
Hg 5.668 1.889 5.668
Hg 5.668 5.668 1.889
Hg 5.668 5.668 5.668

=====

16
Lattice="6.004 0.000 0.000 0.000 6.004 0.000 0.000 0.000 6.004" Properties=species:S:1:pos:R:3 comment="Al2PdRu r2SCAN relaxed" crystal_system=cubic rho_g_cm3=8.02 delta_e_f_mev_per_atom=-858 m_tot_mub_per_fu=0.0 pbc="T T T"
Al 1.501 1.501 1.501
Al 1.501 1.501 4.503
Al 1.501 4.503 1.501
Al 1.501 4.503 4.503
Al 4.503 1.501 1.501
Al 4.503 1.501 4.503
Al 4.503 4.503 1.501
Al 4.503 4.503 4.503
Pd 0.000 0.000 0.000
Pd 0.000 3.002 3.002
Pd 3.002 0.000 3.002
Pd 3.002 3.002 0.000
Ru 0.000 0.000 3.002
Ru 0.000 3.002 0.000
Ru 3.002 0.000 0.000
Ru 3.002 3.002 3.002

=====

2
Lattice="3.582 0.000 0.000 0.000 3.582 0.000 0.000 0.000 3.582" Properties=species:S:1:pos:R:3 comment="Zr r2SCAN relaxed" crystal_system=cubic rho_g_cm3=6.59 delta_e_f_mev_per_atom=122 m_tot_mub_per_fu=0.0 pbc="T T T"
Zr 0.000 0.000 0.000
Zr 1.791 1.791 1.791

=====

12
Lattice="6.498 0.000 0.000 0.000 6.498 0.000 0.000 0.000 6.498" Properties=species:S:1:pos:R:3 comment="Na2S r2SCAN relaxed" crystal_system=cubic rho_g_cm3=1.89 delta_e_f_mev_per_atom=-1269 m_tot_mub_per_fu=0.0 pbc="T T T"
Na 1.625 1.625 1.625
Na 1.625 1.625 4.874
Na 1.625 4.874 1.625
Na 1.625 4.874 4.874
Na 4.874 1.625 1.625
Na 4.874 1.625 4.874
Na 4.874 4.874 1.625
Na 4.874 4.874 4.874
S 0.000 0.000 0.000
S 0.000 3.249 3.249
S 3.249 0.000 3.249
S 3.249 3.249 0.000